# LiInF4

A relaxed LiInF4 crystal (GGA-PBE, the Materials Project).

Results
The calculation puts the MP2020-corrected energy at -5.010 eV/atom. The calculated formation energy is -2.957 eV per atom. The symmetry is Pbcn. Its uncorrected energy is -4.702 eV per atom.

Cell and atoms, written as CIF:
```
data_LiInF4
_chemical_formula_sum 'Li4 In4 F16'
_cell_length_a 4.835
_cell_length_b 5.083
_cell_length_c 11.986
_cell_angle_alpha 90.00
_cell_angle_beta 90.00
_cell_angle_gamma 90.00
_symmetry_space_group_name_H-M 'P 1'
_symmetry_Int_Tables_number 1
loop_
_symmetry_equiv_pos_as_xyz
'x,y,z'
loop_
_atom_site_label
_atom_site_type_symbol
_atom_site_fract_x
_atom_site_fract_y
_atom_site_fract_z
_atom_site_occupancy
F1 F 0.237 0.929 0.942 1
F2 F 0.226 0.918 0.192 1
In1 In 0.000 0.250 0.669 1
F3 F 0.226 0.418 0.808 1
In2 In 0.000 0.750 0.331 1
F4 F 0.274 0.918 0.692 1
Li1 Li 0.500 0.750 0.555 1
In3 In 0.500 0.250 0.169 1
Li2 Li 0.000 0.750 0.055 1
Li3 Li 0.000 0.250 0.945 1
F5 F 0.237 0.429 0.058 1
F6 F 0.774 0.582 0.192 1
F7 F 0.763 0.571 0.942 1
F8 F 0.737 0.571 0.442 1
F9 F 0.737 0.071 0.558 1
F10 F 0.774 0.082 0.808 1
F11 F 0.763 0.071 0.058 1
In4 In 0.500 0.750 0.831 1
F12 F 0.726 0.582 0.692 1
F13 F 0.263 0.929 0.442 1
F14 F 0.263 0.429 0.558 1
F15 F 0.726 0.082 0.308 1
F16 F 0.274 0.418 0.308 1
Li4 Li 0.500 0.250 0.445 1
```